# PBE Ba3Bi2F12, optimized geometry
# - calculated formation energy (eV per formula unit) = -59.092
# - raw total energy (eV/atom) = -5.298
# - total magnetic moment (μB/f.u.) = 0.00
data_Ba3Bi2F12
_chemical_formula_sum 'Ba3 Bi2 F12'
_cell_length_a 4.404
_cell_length_b 4.453
_cell_length_c 17.842
_cell_angle_alpha 91.41
_cell_angle_beta 95.01
_cell_angle_gamma 119.11
_space_group_name_H-M_alt 'P 1'
_space_group_IT_number 1
_space_group_name_Hall 'P 1'
loop_
_atom_site_label
_atom_site_type_symbol
_atom_site_fract_x
_atom_site_fract_y
_atom_site_fract_z
Ba1 Ba 0.000 0.000 0.000
Ba2 Ba 0.191 0.581 0.794
Ba3 Ba 0.766 0.412 0.205
Bi1 Bi 0.486 0.320 0.610
Bi2 Bi 0.548 0.906 0.409
F1 F 0.043 0.448 0.641
F2 F 0.074 0.058 0.156
F3 F 0.121 0.069 0.415
F4 F 0.299 0.643 0.950
F5 F 0.453 0.763 0.266
F6 F 0.478 0.206 0.740
F7 F 0.501 0.730 0.535
F8 F 0.698 0.358 0.053
F9 F 0.740 0.792 0.680
F10 F 0.759 0.339 0.495
F11 F 0.767 0.388 0.351
F12 F 0.892 0.935 0.851


# PBE Ba2GaBiS5, optimized geometry
# - calculated formation energy (eV per formula unit) = -14.160
# - raw total energy (eV/atom) = -4.787
# - total magnetic moment (μB/f.u.) = 0.00
data_Ba2GaBiS5
_chemical_formula_sum 'Ba8 Ga4 Bi4 S20'
_cell_length_a 12.377
_cell_length_b 9.009
_cell_length_c 9.081
_cell_angle_alpha 90.00
_cell_angle_beta 90.00
_cell_angle_gamma 90.00
_space_group_name_H-M_alt 'P n m a'
_space_group_IT_number 62
_space_group_name_Hall '-P 2ac 2n'
loop_
_atom_site_label
_atom_site_type_symbol
_atom_site_fract_x
_atom_site_fract_y
_atom_site_fract_z
Ba1 Ba 0.177 0.008 0.116
Ga1 Ga 0.095 0.750 0.828
Bi1 Bi 0.018 0.750 0.464
S1 S 0.006 0.250 0.968
S2 S 0.055 0.550 0.675
S3 S 0.215 0.750 0.372
S4 S 0.225 0.250 0.380


# PBE Ba2GaBiSe5, optimized geometry
# - calculated formation energy (eV per formula unit) = -13.441
# - raw total energy (eV/atom) = -4.369
# - total magnetic moment (μB/f.u.) = 0.00
data_Ba2GaBiSe5
_chemical_formula_sum 'Ba8 Ga4 Bi4 Se20'
_cell_length_a 12.841
_cell_length_b 9.290
_cell_length_c 9.451
_cell_angle_alpha 90.00
_cell_angle_beta 90.00
_cell_angle_gamma 90.00
_space_group_name_H-M_alt 'P n m a'
_space_group_IT_number 62
_space_group_name_Hall '-P 2ac 2n'
loop_
_atom_site_label
_atom_site_type_symbol
_atom_site_fract_x
_atom_site_fract_y
_atom_site_fract_z
Ba1 Ba 0.175 0.008 0.119
Ga1 Ga 0.097 0.750 0.832
Bi1 Bi 0.022 0.750 0.471
Se1 Se 0.009 0.250 0.962
Se2 Se 0.059 0.542 0.678
Se3 Se 0.219 0.250 0.390
Se4 Se 0.222 0.750 0.376


# PBE Ba2GaBiTe5, optimized geometry
# - calculated formation energy (eV per formula unit) = -10.699
# - raw total energy (eV/atom) = -3.896
# - total magnetic moment (μB/f.u.) = 0.00
data_Ba2GaBiTe5
_chemical_formula_sum 'Ba8 Ga4 Bi4 Te20'
_cell_length_a 13.712
_cell_length_b 9.802
_cell_length_c 10.050
_cell_angle_alpha 90.00
_cell_angle_beta 90.00
_cell_angle_gamma 90.00
_space_group_name_H-M_alt 'P n m a'
_space_group_IT_number 62
_space_group_name_Hall '-P 2ac 2n'
loop_
_atom_site_label
_atom_site_type_symbol
_atom_site_fract_x
_atom_site_fract_y
_atom_site_fract_z
Ba1 Ba 0.174 0.007 0.118
Ga1 Ga 0.101 0.750 0.834
Bi1 Bi 0.027 0.750 0.476
Te1 Te 0.008 0.250 0.955
Te2 Te 0.063 0.533 0.679
Te3 Te 0.211 0.250 0.393
Te4 Te 0.229 0.750 0.373


# PBE Ba2GdBiO6, optimized geometry
# - calculated formation energy (eV per formula unit) = -27.970
# - raw total energy (eV/atom) = -7.534
# - total magnetic moment (μB/f.u.) = 7.00
data_Ba2GdBiO6
_chemical_formula_sum 'Ba8 Gd4 Bi4 O24'
_cell_length_a 8.766
_cell_length_b 8.766
_cell_length_c 8.766
_cell_angle_alpha 90.00
_cell_angle_beta 90.00
_cell_angle_gamma 90.00
_space_group_name_H-M_alt 'P n -3'
_space_group_IT_number 201
loop_
_space_group_symop_operation_xyz
'x,y,z'
'-x,-y,-z'
'-x+1/2,-y+1/2,z'
'x+1/2,y+1/2,-z'
'x,-y+1/2,-z+1/2'
'-x,y+1/2,z+1/2'
'-x+1/2,y,-z+1/2'
'x+1/2,-y,z+1/2'
'z,x,y'
'-z,-x,-y'
'z,-x+1/2,-y+1/2'
'-z,x+1/2,y+1/2'
'-z+1/2,x,-y+1/2'
'z+1/2,-x,y+1/2'
'-z+1/2,-x+1/2,y'
'z+1/2,x+1/2,-y'
'y,z,x'
'-y,-z,-x'
'-y+1/2,z,-x+1/2'
'y+1/2,-z,x+1/2'
'-y+1/2,-z+1/2,x'
'y+1/2,z+1/2,-x'
'y,-z+1/2,-x+1/2'
'-y,z+1/2,x+1/2'
loop_
_atom_site_label
_atom_site_type_symbol
_atom_site_fract_x
_atom_site_fract_y
_atom_site_fract_z
Ba1 Ba 0.250 0.250 0.250
Ba2 Ba 0.250 0.250 0.750
Gd1 Gd 0.000 0.000 0.000
Bi1 Bi 0.000 0.000 0.500
O1 O 0.020 0.522 0.757


# PBE Ba2GdBiO6, optimized geometry
# - calculated formation energy (eV per formula unit) = -27.913
# - raw total energy (eV/atom) = -7.528
# - total magnetic moment (μB/f.u.) = 7.00
data_Ba2GdBiO6
_chemical_formula_sum 'Ba8 Gd4 Bi4 O24'
_cell_length_a 8.769
_cell_length_b 8.769
_cell_length_c 8.769
_cell_angle_alpha 90.00
_cell_angle_beta 90.00
_cell_angle_gamma 90.00
_space_group_name_H-M_alt 'F m -3 m'
_space_group_IT_number 225
_space_group_name_Hall '-F 4 2 3'
loop_
_atom_site_label
_atom_site_type_symbol
_atom_site_fract_x
_atom_site_fract_y
_atom_site_fract_z
Ba1 Ba 0.250 0.250 0.250
Gd1 Gd 0.000 0.000 0.000
Bi1 Bi 0.000 0.000 0.500
O1 O 0.000 0.000 0.257


# PBE BaNaHfBiO6, optimized geometry
# - calculated formation energy (eV per formula unit) = -26.218
# - raw total energy (eV/atom) = -6.887
# - total magnetic moment (μB/f.u.) = 0.00
data_BaNaHfBiO6
_chemical_formula_sum 'Ba4 Na4 Hf4 Bi4 O24'
_cell_length_a 8.389
_cell_length_b 8.389
_cell_length_c 8.389
_cell_angle_alpha 90.00
_cell_angle_beta 90.00
_cell_angle_gamma 90.00
_space_group_name_H-M_alt 'F -4 3 m'
_space_group_IT_number 216
_space_group_name_Hall 'F -4 2 3'
loop_
_atom_site_label
_atom_site_type_symbol
_atom_site_fract_x
_atom_site_fract_y
_atom_site_fract_z
Ba1 Ba 0.000 0.000 0.000
Na1 Na 0.000 0.000 0.500
Hf1 Hf 0.250 0.250 0.250
Bi1 Bi 0.250 0.250 0.750
O1 O 0.003 0.250 0.250


# PBE BaBi2I2O2, optimized geometry
# - calculated formation energy (eV per formula unit) = -6.971
# - raw total energy (eV/atom) = -4.034
# - relative energy among the computed polymorphs (meV per atom) = 123
# - total magnetic moment (μB/f.u.) = 0.08
data_BaBi2I2O2
_chemical_formula_sum 'Ba2 Bi4 I4 O4'
_cell_length_a 3.794
_cell_length_b 3.794
_cell_length_c 28.310
_cell_angle_alpha 90.00
_cell_angle_beta 90.00
_cell_angle_gamma 90.00
_space_group_name_H-M_alt 'I -4 m 2'
_space_group_IT_number 119
_space_group_name_Hall 'I -4 -2'
loop_
_atom_site_label
_atom_site_type_symbol
_atom_site_fract_x
_atom_site_fract_y
_atom_site_fract_z
Ba1 Ba 0.000 0.000 0.000
Bi1 Bi 0.000 0.000 0.119
I1 I 0.000 0.000 0.308
O1 O 0.000 0.500 0.563


# PBE BaBi2I2O2, optimized geometry
# - calculated formation energy (eV per formula unit) = -7.835
# - raw total energy (eV/atom) = -4.158
# - relative energy among the computed polymorphs (meV per atom) = 0
# - total magnetic moment (μB/f.u.) = 0.00
data_BaBi2I2O2
_chemical_formula_sum 'Ba2 Bi4 I4 O4'
_cell_length_a 4.152
_cell_length_b 4.152
_cell_length_c 34.170
_cell_angle_alpha 90.00
_cell_angle_beta 90.00
_cell_angle_gamma 90.00
_space_group_name_H-M_alt 'I 4 m m'
_space_group_IT_number 107
_space_group_name_Hall 'I 4 -2'
loop_
_atom_site_label
_atom_site_type_symbol
_atom_site_fract_x
_atom_site_fract_y
_atom_site_fract_z
Ba1 Ba 0.000 0.000 0.000
Bi1 Bi 0.000 0.000 0.406
Bi2 Bi 0.000 0.000 0.837
I1 I 0.000 0.000 0.284
I2 I 0.000 0.000 0.555
O1 O 0.000 0.500 0.372


# PBE BaBi2I2O2, optimized geometry
# - calculated formation energy (eV per formula unit) = -7.075
# - raw total energy (eV/atom) = -4.049
# - relative energy among the computed polymorphs (meV per atom) = 108
# - total magnetic moment (μB/f.u.) = 0.32
data_BaBi2I2O2
_chemical_formula_sum 'Ba2 Bi4 I4 O4'
_cell_length_a 4.835
_cell_length_b 4.835
_cell_length_c 25.239
_cell_angle_alpha 90.00
_cell_angle_beta 90.00
_cell_angle_gamma 90.00
_space_group_name_H-M_alt 'I 4 m m'
_space_group_IT_number 107
_space_group_name_Hall 'I 4 -2'
loop_
_atom_site_label
_atom_site_type_symbol
_atom_site_fract_x
_atom_site_fract_y
_atom_site_fract_z
Ba1 Ba 0.000 0.000 0.000
Bi1 Bi 0.000 0.000 0.387
Bi2 Bi 0.000 0.000 0.849
I1 I 0.000 0.000 0.124
I2 I 0.000 0.000 0.522
O1 O 0.000 0.500 0.374


# PBE Ba3Bi2I2O5, optimized geometry
# - calculated formation energy (eV per formula unit) = -25.517
# - raw total energy (eV/atom) = -5.284
# - total magnetic moment (μB/f.u.) = 0.00
data_Ba3Bi2I2O5
_chemical_formula_sum 'Ba6 Bi4 I4 O10'
_cell_length_a 4.657
_cell_length_b 4.657
_cell_length_c 27.544
_cell_angle_alpha 90.00
_cell_angle_beta 90.00
_cell_angle_gamma 90.00
_space_group_name_H-M_alt 'I 4/m m m'
_space_group_IT_number 139
_space_group_name_Hall '-I 4 2'
loop_
_atom_site_label
_atom_site_type_symbol
_atom_site_fract_x
_atom_site_fract_y
_atom_site_fract_z
Ba1 Ba 0.000 0.000 0.000
Ba2 Ba 0.000 0.000 0.145
Bi1 Bi 0.000 0.000 0.421
I1 I 0.000 0.000 0.294
O1 O 0.000 0.000 0.500
O2 O 0.000 0.500 0.084


# PBE Ba4InBiO6, optimized geometry
# - calculated formation energy (eV per formula unit) = -26.073
# - raw total energy (eV/atom) = -5.496
# - total magnetic moment (μB/f.u.) = 0.05
data_Ba4InBiO6
_chemical_formula_sum 'Ba4 In1 Bi1 O6'
_cell_length_a 4.537
_cell_length_b 4.537
_cell_length_c 13.303
_cell_angle_alpha 90.00
_cell_angle_beta 90.00
_cell_angle_gamma 90.00
_space_group_name_H-M_alt 'P 4/m m m'
_space_group_IT_number 123
_space_group_name_Hall '-P 4 2'
loop_
_atom_site_label
_atom_site_type_symbol
_atom_site_fract_x
_atom_site_fract_y
_atom_site_fract_z
Ba1 Ba 0.000 0.000 0.130
Ba2 Ba 0.500 0.500 0.361
In1 In 0.500 0.500 0.000
Bi1 Bi 0.000 0.000 0.500
O1 O 0.000 0.000 0.317
O2 O 0.000 0.500 0.000
O3 O 0.000 0.500 0.500


What is the raw total energy in the fourth record?
-3.896 eV/atom